Record 1
This record from the Materials Project describes a relaxed Mn4Al9 crystal. The functional is PBE-GGA.

```
156
Lattice="14.743 0.000 0.000 0.000 12.407 0.000 0.000 0.000 12.486" Properties=species:S:1:pos:R:3 pbc="T T T"
Mn 0.627 3.102 1.838
Mn 0.791 3.102 6.793
Mn 0.822 3.102 9.426
Mn 1.849 0.783 10.499
Mn 1.849 5.420 10.499
Mn 2.464 9.305 1.940
Mn 2.617 6.916 8.128
Mn 2.617 11.694 8.128
Mn 2.689 6.960 0.509
Mn 2.689 11.650 0.509
Mn 3.297 3.102 5.969
Mn 3.435 3.102 10.321
Mn 3.937 9.305 4.078
Mn 4.075 9.305 12.212
Mn 4.683 0.757 6.752
Mn 4.683 5.446 6.752
Mn 4.755 0.712 1.885
Mn 4.755 5.491 1.885
Mn 4.908 3.102 8.183
Mn 5.523 6.987 4.256
Mn 5.523 11.624 4.256
Mn 6.550 9.305 3.183
Mn 6.580 9.305 0.550
Mn 6.745 9.305 8.082
Mn 7.999 3.102 4.405
Mn 8.163 3.102 11.936
Mn 8.193 3.102 9.304
Mn 9.221 0.783 8.231
Mn 9.221 5.420 8.231
Mn 9.835 9.305 4.303
Mn 9.989 6.916 10.601
Mn 9.989 11.694 10.601
Mn 10.060 6.960 5.735
Mn 10.060 11.650 5.735
Mn 10.669 3.102 0.274
Mn 10.807 3.102 8.409
Mn 11.309 9.305 2.166
Mn 11.446 9.305 6.517
Mn 12.055 0.757 11.978
Mn 12.055 5.446 11.978
Mn 12.126 0.712 4.358
Mn 12.126 5.491 4.358
Mn 12.280 3.102 10.546
Mn 12.895 6.987 1.988
Mn 12.895 11.624 1.988
Mn 13.922 9.305 3.061
Mn 13.952 9.305 5.693
Mn 14.117 9.305 10.648
Al 0.320 0.832 8.165
Al 0.330 0.999 0.635
Al 0.330 5.205 0.635
Al 0.320 5.372 8.165
Al 0.615 7.653 1.852
Al 0.615 10.957 1.852
Al 0.751 7.726 9.527
Al 0.751 10.884 9.527
Al 0.772 7.795 6.756
Al 0.772 10.815 6.756
Al 1.412 3.102 4.225
Al 1.436 9.305 4.370
Al 1.517 3.102 11.914
Al 1.532 9.305 12.035
Al 1.966 0.822 5.862
Al 1.966 5.381 5.862
Al 2.423 1.525 2.038
Al 2.423 4.679 2.038
Al 2.689 1.838 8.155
Al 2.689 4.365 8.155
Al 2.686 9.305 8.191
Al 2.859 7.040 3.327
Al 2.859 11.570 3.327
Al 3.285 7.663 10.523
Al 3.285 10.947 10.523
Al 3.546 7.692 5.907
Al 3.546 10.918 5.907
Al 3.826 1.489 12.150
Al 3.826 4.715 12.150
Al 4.086 1.459 4.280
Al 4.086 4.744 4.280
Al 4.512 0.837 9.570
Al 4.512 5.367 9.570
Al 4.686 3.102 1.948
Al 4.683 8.041 1.912
Al 4.683 10.569 1.912
Al 4.949 7.728 8.281
Al 4.949 10.882 8.281
Al 5.406 7.025 12.105
Al 5.406 11.585 12.105
Al 5.840 3.102 5.791
Al 5.855 9.305 5.671
Al 5.935 3.102 10.613
Al 5.960 9.305 10.469
Al 6.600 1.592 0.513
Al 6.600 4.612 0.513
Al 6.620 1.523 3.284
Al 6.620 4.681 3.284
Al 6.757 1.450 8.095
Al 6.757 4.754 8.095
Al 7.052 7.035 1.922
Al 7.041 7.202 6.878
Al 7.041 11.408 6.878
Al 7.052 11.575 1.922
Al 7.691 0.832 10.564
Al 7.702 0.999 5.608
Al 7.702 5.205 5.608
Al 7.691 5.372 10.564
Al 7.987 7.653 4.391
Al 7.987 10.957 4.391
Al 8.123 7.726 9.202
Al 8.123 10.884 9.202
Al 8.144 7.795 11.973
Al 8.144 10.815 11.973
Al 8.783 3.102 2.018
Al 8.808 9.305 1.874
Al 8.889 3.102 6.816
Al 8.904 9.305 6.695
Al 9.338 0.822 0.381
Al 9.338 5.381 0.381
Al 9.795 1.525 4.206
Al 9.795 4.679 4.206
Al 10.061 1.838 10.574
Al 10.061 4.365 10.574
Al 10.058 9.305 10.539
Al 10.231 7.040 2.917
Al 10.231 11.570 2.917
Al 10.657 7.663 8.207
Al 10.657 10.947 8.207
Al 10.917 7.692 0.336
Al 10.917 10.918 0.336
Al 11.198 1.489 6.579
Al 11.198 4.715 6.579
Al 11.458 1.459 1.963
Al 11.458 4.744 1.963
Al 11.884 0.837 9.160
Al 11.884 5.367 9.160
Al 12.058 3.102 4.296
Al 12.055 8.041 4.331
Al 12.055 10.569 4.331
Al 12.321 7.728 10.449
Al 12.321 10.882 10.449
Al 12.777 7.025 6.624
Al 12.777 11.585 6.624
Al 13.211 3.102 0.452
Al 13.226 9.305 0.572
Al 13.307 3.102 8.117
Al 13.332 9.305 8.261
Al 13.971 1.592 5.730
Al 13.971 4.612 5.730
Al 13.992 1.523 2.959
Al 13.992 4.681 2.959
Al 14.129 1.450 10.634
Al 14.129 4.754 10.634
Al 14.424 7.035 4.321
Al 14.413 7.202 11.851
Al 14.413 11.408 11.851
Al 14.424 11.575 4.321
```

Record 2
This record from the Materials Project describes a relaxed NaMg6Mn crystal. The functional is PBE-GGA.

```
16
Lattice="5.081 0.000 0.000 0.000 6.458 0.000 0.000 0.000 10.951" Properties=species:S:1:pos:R:3 pbc="T T T"
Na 2.541 3.229 9.135
Na 2.541 0.000 3.659
Mg 2.541 1.615 0.906
Mg 2.541 4.842 0.906
Mg 0.000 1.551 10.023
Mg 0.000 4.906 10.023
Mg 0.000 3.229 1.866
Mg 0.000 3.229 7.276
Mg 2.541 4.844 6.381
Mg 2.541 1.613 6.381
Mg 0.000 4.780 4.548
Mg 0.000 1.677 4.548
Mg 0.000 0.000 7.341
Mg 0.000 0.000 1.801
Mn 2.541 3.229 3.668
Mn 2.541 0.000 9.144
```

Record 3
This record from the Materials Project describes a relaxed SrCaYRuO6 crystal. The functional is PBE-GGA.

```
20
Lattice="5.705 0.000 0.000 0.000 5.870 0.000 -5.664 0.000 8.164" Properties=species:S:1:pos:R:3 pbc="T T T"
Sr 0.000 1.220 0.000
Sr -2.832 4.650 4.082
Ca 0.148 1.781 4.050
Ca -2.684 4.089 8.132
Y -2.768 1.453 6.111
Y 0.064 4.417 2.029
Ru 2.915 1.469 2.044
Ru 0.083 4.401 6.126
O -2.182 1.302 3.942
O -5.014 4.568 8.024
O 2.448 1.697 0.136
O -0.384 4.173 4.218
O 1.288 0.389 2.447
O -1.544 5.481 6.529
O -1.019 2.804 6.535
O 1.813 3.066 2.453
O 1.088 0.212 5.683
O 3.920 5.658 1.601
O 4.492 2.611 1.701
O 1.660 3.259 5.783
```

Record 4
This record from the Materials Project describes a relaxed LuCo3B2 crystal. The functional is PBE-GGA.

```
6
Lattice="4.939 0.000 0.000 -2.470 4.278 0.000 0.000 0.000 3.023" Properties=species:S:1:pos:R:3 pbc="T T T"
Lu 0.000 0.000 0.000
Co -1.235 2.139 1.512
Co 2.470 0.000 1.512
Co 1.235 2.139 1.512
B 0.000 2.852 0.000
B 2.470 1.426 0.000
```

Record 5
This record from the Materials Project describes a relaxed Mo3Os3C2 crystal. The functional is PBE-GGA.

```
8
Lattice="2.886 0.000 0.000 -1.443 2.500 0.000 0.000 0.000 14.149" Properties=species:S:1:pos:R:3 pbc="T T T"
Mo 0.000 0.000 0.000
Mo 0.000 1.666 11.485
Mo 1.443 0.833 2.664
Os 0.000 0.000 7.074
Os 0.000 1.666 4.910
Os 1.443 0.833 9.239
C 0.000 1.666 1.389
C 1.443 0.833 12.760
```

Record 6
This record from the Materials Project describes a relaxed LiTcH6O7 crystal. The functional is PBE-GGA.

```
30
Lattice="7.952 0.000 0.000 -3.976 6.887 0.000 0.000 0.000 5.756" Properties=species:S:1:pos:R:3 pbc="T T T"
Li 0.000 0.000 0.000
Li 0.000 0.000 2.878
Tc 0.000 4.591 1.725
Tc 3.976 2.296 4.603
H -0.780 2.241 4.276
H -2.425 5.091 4.276
H 0.780 2.241 4.276
H -1.646 6.442 4.276
H 2.330 0.445 1.398
H 1.551 1.795 1.398
H 2.425 5.091 4.276
H 1.646 6.442 4.276
H 5.622 0.445 1.398
H 3.196 4.646 1.398
H 6.401 1.795 1.398
H 4.756 4.646 1.398
O -1.432 3.764 1.162
O 0.000 1.640 4.317
O -2.556 6.067 4.317
O 1.420 0.820 1.439
O 0.000 4.591 3.453
O 1.432 3.764 1.162
O 0.000 6.245 1.162
O 3.976 0.641 4.040
O 2.544 3.123 4.040
O 3.976 2.296 0.574
O 2.556 6.067 4.317
O 6.532 0.820 1.439
O 3.976 5.246 1.439
O 5.409 3.123 4.040
```

Record 7
This record from the Materials Project describes a relaxed BaMg14Zn crystal. The functional is PBE-GGA.

```
16
Lattice="6.600 0.000 0.000 -3.300 5.716 0.000 0.000 0.000 10.515" Properties=species:S:1:pos:R:3 pbc="T T T"
Ba 0.000 0.000 0.000
Mg -1.579 2.899 0.000
Mg 0.000 1.933 2.830
Mg 0.000 1.933 7.686
Mg -1.626 4.749 2.830
Mg -1.626 4.749 7.686
Mg 1.579 2.899 0.000
Mg 0.000 5.633 0.000
Mg 3.300 0.038 5.258
Mg 1.683 2.839 5.258
Mg 1.626 4.749 2.830
Mg 1.626 4.749 7.686
Mg 3.300 1.905 2.567
Mg 3.300 1.905 7.948
Mg 4.917 2.839 5.258
Zn 0.000 0.000 5.258
```

Record 8
This record from the Materials Project describes a relaxed TlCr5Te8 crystal. The functional is PBE-GGA.

```
14
Lattice="4.122 0.000 0.000 -0.040 9.476 0.000 -2.027 -2.528 9.850" Properties=species:S:1:pos:R:3 pbc="T T T"
Tl 0.000 0.000 0.000
Cr 0.021 3.838 3.483
Cr 0.056 6.843 4.356
Cr 2.097 4.745 0.373
Cr 2.105 0.170 6.187
Cr 2.142 3.164 7.064
Te 0.039 5.927 1.721
Te 0.055 1.953 5.500
Te 0.042 -1.495 6.814
Te 0.083 4.270 8.421
Te 2.079 2.693 2.138
Te 2.161 -0.957 3.740
Te 2.107 5.047 5.040
Te 2.127 1.064 8.843
```

Record 9
This record from the Materials Project describes a relaxed Na6Nb2Al2Si5SO24 crystal. The functional is PBE-GGA.

```
120
Lattice="8.909 0.000 0.000 -4.442 7.731 0.000 -0.051 -0.185 22.151" Properties=species:S:1:pos:R:3 pbc="T T T"
Na 0.000 0.000 0.000
Na -2.818 4.707 16.557
Na -1.192 1.952 11.151
Na -1.159 2.512 3.629
Na -3.964 7.407 14.658
Na -0.050 4.482 14.760
Na 1.590 2.208 12.926
Na -0.025 5.080 7.375
Na -1.236 7.076 18.401
Na 1.722 2.302 1.904
Na -1.212 7.567 11.067
Na 4.503 2.015 0.005
Na 1.700 7.248 9.288
Na 4.448 2.416 14.745
Na 1.645 7.223 20.345
Na 4.870 2.322 7.307
Na 4.530 7.122 7.378
Na 6.025 4.905 5.516
Nb -2.844 4.714 19.769
Nb 1.577 2.257 9.611
Nb 1.565 2.186 20.704
Nb 1.580 7.449 17.068
Nb 1.714 7.475 5.922
Nb 6.005 4.898 2.250
Al -2.773 4.978 8.702
Al -2.618 4.880 13.259
Al 1.559 2.073 16.178
Al 1.743 2.158 5.076
Al 1.677 7.323 12.444
Al 1.684 7.573 1.300
Si -1.555 2.461 22.146
Si 0.318 -0.061 18.340
Si -0.935 2.354 7.248
Si -0.237 4.881 11.029
Si -1.448 6.941 22.120
Si 2.895 0.003 7.302
Si 0.363 4.361 18.279
Si -0.967 7.386 14.617
Si 4.097 2.257 18.316
Si 2.975 4.448 7.266
Si 4.708 1.938 3.565
Si 3.387 4.781 22.096
Si 7.373 1.910 14.597
Si 4.279 7.525 3.570
Si 4.750 6.935 11.052
S 0.407 5.221 3.584
S 2.924 5.122 14.653
S 4.822 2.618 11.037
O -1.934 3.594 7.542
O -3.421 6.268 12.357
O -3.410 6.209 18.512
O -1.747 3.576 1.315
O 0.559 0.822 19.704
O -0.017 1.966 8.598
O 0.667 1.150 3.802
O 0.089 2.057 14.817
O -2.221 6.385 1.196
O -2.184 6.249 7.464
O 1.032 0.585 17.046
O -1.255 4.586 18.490
O -1.141 4.485 12.332
O 0.062 2.282 22.009
O 1.027 0.758 10.916
O 0.017 2.598 5.980
O -1.916 6.034 14.552
O -1.171 5.079 9.699
O -1.097 5.075 3.546
O -1.786 6.061 20.767
O 2.156 0.718 6.080
O 0.649 3.470 16.973
O 2.242 0.678 21.982
O 0.703 3.490 10.893
O 2.546 1.002 14.808
O 0.974 3.865 3.720
O 1.007 3.667 19.635
O 2.747 0.952 8.668
O 0.620 6.015 4.862
O -0.014 7.074 15.959
O 0.689 6.217 11.221
O 0.964 5.901 2.438
O 3.133 2.130 3.793
O 0.184 7.326 0.131
O 2.212 3.765 8.597
O 3.246 1.899 19.675
O 0.986 5.890 18.211
O 0.096 7.573 7.171
O 4.497 -0.100 13.372
O 2.299 3.781 14.757
O 2.586 3.372 21.977
O 3.207 2.400 16.988
O 2.665 3.475 6.033
O 3.329 2.426 10.958
O 5.044 0.872 18.253
O 2.290 5.774 13.480
O 2.255 5.945 7.179
O 5.105 1.050 2.282
O 5.465 1.212 4.904
O 2.589 6.297 0.165
O 5.420 1.246 11.121
O 2.723 5.955 15.873
O 5.066 3.418 12.254
O 4.461 4.610 1.215
O 5.115 3.505 18.487
O 4.572 4.638 7.512
O 5.392 3.226 9.813
O 4.399 4.961 14.525
O 3.146 7.256 11.199
O 6.722 1.182 0.065
O 6.656 1.135 15.911
O 4.427 5.021 20.839
O 3.317 7.217 4.924
O 5.554 3.395 3.541
O 3.170 7.484 18.213
O 7.049 0.963 7.200
O 7.109 0.899 13.348
O 7.721 -0.012 2.314
O 6.646 3.215 20.864
O 6.613 3.378 14.496
O 5.083 6.130 9.677
O 5.209 6.159 3.531
```

Uncorrected energy
In order: -5.64 -2.33 -7.34 -7.08 -10.41 -5.76 -1.53 -5.63 -7.07
Unit: eV per atom